# 1
VASP calculation (r²SCAN) on a relaxed structure of CsBS2.

Results
The calculation puts the total energy at -13.109 eV/atom. As for the space group: Immm (71). The value obtained for the energy relative to the elements is -0.979 eV/atom.

```
8
Lattice="-2.549 3.460 -1.523 0.029 -2.475 -5.671 -8.657 -4.095 -1.634" Properties=species:S:1:pos:R:3 pbc="T T T"
Cs -6.571 -2.802 -2.188
Cs -4.606 -0.309 -6.640
B -8.920 -2.984 -5.495
B -2.258 -0.127 -3.332
S -7.482 -2.094 -5.877
S -3.695 -1.017 -2.950
S -1.268 1.062 -2.294
S -9.910 -4.172 -6.533
```

=====

# 2
VASP calculation (r²SCAN) on a relaxed structure of Ho2IrPd.

Results
The calculation puts the total energy at -36.286 eV/atom. As for the space group: Fm-3m (225). The value obtained for the energy relative to the elements is -1.015 eV/atom.

```
4
Lattice="0.000 3.423 3.423 3.423 0.000 3.423 3.423 3.423 0.000" Properties=species:S:1:pos:R:3 pbc="T T T"
Ho 1.712 1.712 1.712
Ho 5.135 5.135 5.135
Ir 3.423 3.423 3.423
Pd 0.000 0.000 0.000
```

=====

# 3
VASP calculation (r²SCAN) on a relaxed structure of TmCoB4.

Results
The calculation puts the total energy at -13.597 eV/atom. As for the space group: Pbam (55). The value obtained for the energy relative to the elements is -0.640 eV/atom.

```
24
Lattice="-2.750 -0.914 1.629 2.379 -5.225 1.087 4.382 3.999 9.638" Properties=species:S:1:pos:R:3 pbc="T T T"
Tm 0.166 -1.800 2.663
Tm 3.845 -0.339 9.691
Tm 1.777 1.472 7.217
Tm 2.233 -3.612 5.136
Co 1.290 -0.720 5.165
Co 2.721 -1.419 7.188
Co 2.936 2.476 9.735
Co 1.075 -4.615 2.618
B 0.469 -0.398 0.568
B 6.292 -0.828 10.156
B 3.318 0.156 5.688
B 3.443 -1.381 5.036
B 2.379 1.148 4.659
B 4.382 -2.373 6.065
B 5.101 1.981 9.720
B 1.660 -3.207 1.004
B 0.892 0.646 1.867
B 5.869 -1.872 8.857
B 4.164 0.270 7.180
B 2.597 -1.496 3.544
B 1.896 0.130 3.273
B 4.865 -1.356 7.451
B 4.247 1.778 8.164
B 2.514 -3.004 2.560
```

=====

# 4
VASP calculation (r²SCAN) on a relaxed structure of YInPt2.

Results
The calculation puts the total energy at -37.549 eV/atom. As for the space group: P6_3/mmc (194). The value obtained for the energy relative to the elements is -1.082 eV/atom.

```
8
Lattice="4.553 0.000 0.000 -2.277 3.943 0.000 0.000 0.000 9.017" Properties=species:S:1:pos:R:3 pbc="T T T"
Y 2.277 1.314 6.763
Y 0.000 2.629 2.254
In 0.000 0.000 0.000
In 0.000 0.000 4.508
Pt 2.277 1.314 0.821
Pt 0.000 2.629 8.196
Pt 0.000 2.629 5.329
Pt 2.277 1.314 3.688
```

=====

# 5
VASP calculation (r²SCAN) on a relaxed structure of In2Se3O12.

Results
The calculation puts the total energy at -10.421 eV/atom. As for the space group: P2_1/c (14). The value obtained for the energy relative to the elements is -1.023 eV/atom.

```
68
Lattice="-8.751 -2.255 2.091 -0.946 -3.686 -7.933 2.966 -14.275 -2.984" Properties=species:S:1:pos:R:3 pbc="T T T"
In 1.528 -15.906 -9.459
In -8.259 -4.310 0.632
In -2.955 -10.463 -1.773
In -3.776 -9.754 -7.053
In 0.920 -11.208 -6.799
In -7.651 -9.008 -2.028
In -2.405 -15.176 -4.419
In -4.326 -5.041 -4.408
Se -6.685 -14.726 -7.743
Se -0.046 -5.490 -1.084
Se -0.798 -13.204 -2.042
Se -5.933 -7.013 -6.785
Se -2.024 -12.962 -7.070
Se -4.707 -7.255 -1.756
Se -5.390 -14.950 -2.731
Se -1.341 -5.266 -6.095
Se -1.162 -9.455 -4.591
Se -5.569 -10.761 -4.235
Se -4.164 -17.919 -5.709
Se -2.567 -2.298 -3.118
O -5.114 -15.019 -8.141
O -1.617 -5.198 -0.685
O 0.462 -12.181 -2.320
O -7.193 -8.035 -6.507
O 1.133 -15.858 -7.383
O -7.864 -4.359 -1.444
O -4.124 -10.915 -3.476
O -2.607 -9.302 -5.351
O -0.369 -10.831 -5.051
O -6.362 -9.386 -3.775
O -3.980 -16.292 -5.483
O -2.751 -3.925 -3.344
O -2.429 -14.127 -8.158
O -4.302 -6.090 -0.668
O -5.778 -13.990 -1.454
O -0.953 -6.227 -7.373
O -7.349 -16.057 -7.052
O 0.618 -4.160 -1.774
O -2.221 -12.411 -2.233
O -4.510 -7.805 -6.593
O -1.055 -15.822 -5.917
O -5.676 -4.394 -2.909
O -6.438 -12.110 -3.865
O -0.293 -8.106 -4.961
O -6.799 -13.514 -6.619
O 0.068 -6.702 -2.208
O -0.810 -14.448 -3.136
O -5.921 -5.769 -5.691
O -2.584 -13.347 -5.565
O -4.147 -6.870 -3.261
O -6.644 -15.033 -3.802
O -0.087 -5.183 -5.024
O -1.439 -9.489 -2.965
O -5.292 -10.728 -5.861
O -5.087 -18.195 -7.048
O -1.644 -2.022 -1.778
O -2.668 -11.522 -7.548
O -4.063 -8.695 -1.278
O -5.029 -16.464 -2.185
O -1.702 -3.753 -6.641
O -0.380 -12.861 -7.118
O -6.351 -7.355 -1.709
O -4.042 -14.280 -3.398
O -2.689 -5.937 -5.428
O -1.612 -17.456 -8.429
O -5.119 -2.760 -0.397
O -6.553 -10.649 -1.193
O -0.178 -9.567 -7.634
```

=====

# 6
VASP calculation (r²SCAN) on a relaxed structure of BaAl2Si2.

Results
The calculation puts the total energy at -11.834 eV/atom. As for the space group: I4/mmm (139). The value obtained for the energy relative to the elements is -0.332 eV/atom.

```
5
Lattice="-2.652 -2.718 1.642 -2.205 0.036 -3.500 6.178 -3.778 -1.486" Properties=species:S:1:pos:R:3 pbc="T T T"
Ba 0.000 0.000 0.000
Al 0.549 -3.918 -0.387
Al 0.773 -2.541 -2.958
Si 2.689 -3.670 -1.732
Si -1.367 -2.789 -1.612
```

=====

# 7
VASP calculation (r²SCAN) on a relaxed structure of CoP2PbO7.

Results
The calculation puts the total energy at -13.808 eV/atom. As for the space group: P2_1/c (14). The value obtained for the energy relative to the elements is -2.050 eV/atom.

```
44
Lattice="8.213 0.000 0.000 0.000 5.321 0.006 0.000 5.292 12.614" Properties=species:S:1:pos:R:3 pbc="T T T"
Co 5.298 9.520 11.169
Co 1.192 3.739 7.757
Co 2.915 1.093 1.451
Co 7.021 6.874 4.863
P 5.697 1.674 0.161
P 1.590 6.294 6.153
P 2.516 8.940 12.460
P 6.623 4.319 6.467
P 7.902 1.276 2.003
P 3.795 6.692 4.310
P 0.311 9.338 10.617
P 4.418 3.921 8.310
Pb 6.869 6.813 9.054
Pb 2.763 6.446 9.873
Pb 1.344 3.800 3.566
Pb 5.450 4.167 2.748
O 5.449 3.183 0.215
O 1.342 4.784 6.098
O 2.764 7.430 12.405
O 6.871 5.829 6.522
O 5.563 6.350 11.403
O 1.456 6.908 7.524
O 2.650 4.263 1.217
O 6.757 3.705 5.096
O 4.879 0.954 1.239
O 0.773 7.014 5.074
O 3.334 9.659 11.381
O 7.440 3.600 7.546
O 7.240 1.465 0.568
O 3.133 6.502 5.745
O 0.973 9.148 12.052
O 5.080 4.111 6.875
O 1.134 1.707 1.885
O 5.241 6.261 4.428
O 7.079 8.906 10.735
O 2.972 4.353 8.192
O 7.191 2.234 2.967
O 3.084 5.734 3.346
O 1.022 8.380 9.653
O 5.129 4.879 9.274
O 7.716 5.153 2.412
O 3.609 2.814 3.901
O 0.497 5.460 10.208
O 4.604 7.799 8.719
```

=====

# 8
VASP calculation (r²SCAN) on a relaxed structure of Cd3B2O6.

Results
The calculation puts the total energy at -11.987 eV/atom. As for the space group: P-1 (2). The value obtained for the energy relative to the elements is -1.910 eV/atom. The energy above the most stable polymorph in this dataset comes out at 0.06 eV/f.u.

```
22
Lattice="6.144 -0.008 -0.002 0.827 6.129 -0.001 1.209 1.602 7.195" Properties=species:S:1:pos:R:3 pbc="T T T"
Cd 2.969 6.438 3.172
Cd 5.211 1.285 4.020
Cd 5.247 3.062 7.183
Cd 2.933 4.661 0.009
Cd 6.145 3.874 2.114
Cd 2.034 3.849 5.078
B 5.051 4.482 4.593
B 3.128 3.240 2.599
B 0.834 1.229 0.913
B 7.346 6.493 6.279
O 4.963 5.423 3.574
O 3.217 2.299 3.618
O 4.241 4.516 5.713
O 3.938 3.207 1.479
O 2.095 0.636 0.851
O 6.084 7.087 6.341
O 5.954 3.449 4.424
O 2.226 4.273 2.768
O 7.461 3.117 6.992
O 0.719 4.606 0.200
O 6.510 1.534 2.178
O 1.669 6.188 5.014
```

=====

# 9
VASP calculation (r²SCAN) on a relaxed structure of BaMgIn3.

Results
The calculation puts the total energy at -20.156 eV/atom. As for the space group: I-4m2 (119). The value obtained for the energy relative to the elements is -0.475 eV/atom.

```
5
Lattice="-2.422 2.422 6.313 2.422 -2.422 6.313 2.422 2.422 -6.313" Properties=species:S:1:pos:R:3 pbc="T T T"
Ba 0.000 0.000 0.000
Mg 0.000 2.422 3.157
In 0.000 0.000 4.874
In 0.000 0.000 7.752
In 2.422 0.000 3.157
```

=====

# 10
VASP calculation (r²SCAN) on a relaxed structure of Pt3Rh.

Results
The calculation puts the total energy at -44.685 eV/atom. As for the space group: I4/mmm (139). The value obtained for the energy relative to the elements is -0.035 eV/atom.

```
4
Lattice="-1.956 1.956 3.928 1.956 -1.956 3.928 1.956 1.956 -3.928" Properties=species:S:1:pos:R:3 pbc="T T T"
Pt 0.000 1.956 1.964
Pt 1.956 0.000 1.964
Pt 0.000 0.000 3.928
Rh 0.000 0.000 0.000
```

=====

# 11
VASP calculation (r²SCAN) on a relaxed structure of CrO2.

Results
The calculation puts the total energy at -11.194 eV/atom. As for the space group: P4_2/mnm (136). The value obtained for the energy relative to the elements is -2.188 eV/atom.

```
6
Lattice="-2.246 -1.560 -1.006 1.483 -3.537 2.175 -2.386 1.164 3.520" Properties=species:S:1:pos:R:3 pbc="T T T"
Cr -1.575 -1.967 2.345
Cr 0.000 0.000 0.000
O -0.630 -1.654 3.971
O -0.403 -3.390 1.937
O -0.273 -0.718 1.724
O -2.746 -0.543 2.752
```

=====

# 12
VASP calculation (r²SCAN) on a relaxed structure of Zr2Fe3Si.

Results
The calculation puts the total energy at -16.710 eV/atom. As for the space group: P6_3/mmc (194). The value obtained for the energy relative to the elements is -0.458 eV/atom.

```
12
Lattice="3.370 2.100 -3.005 -4.844 0.964 -0.633 0.596 6.344 5.102" Properties=species:S:1:pos:R:3 pbc="T T T"
Zr 1.190 7.664 2.565
Zr -1.846 4.113 0.804
Zr 0.968 5.295 0.660
Zr -2.068 1.744 -1.100
Fe -3.006 5.915 2.792
Fe -1.348 6.947 1.314
Fe 2.127 3.494 -1.328
Fe -0.623 5.441 3.103
Fe -0.255 3.968 -1.639
Fe 0.470 2.461 0.150
Si 3.668 5.272 -0.454
Si 3.966 8.444 2.097
```